No. 1
Below is an optimized crystal structure of Mn3V3Te2O16, with properties calculated at the PBE with a Hubbard U level.

Values from the calculation:
space group: P1

The structure in CIF format:
```
data_Mn3V3Te2O16
_cell_length_a 5.933
_cell_length_b 5.944
_cell_length_c 10.540
_cell_angle_alpha 89.41
_cell_angle_beta 89.68
_cell_angle_gamma 60.90
_symmetry_space_group_name_H-M 'P 1'
_symmetry_Int_Tables_number 1
loop_
_symmetry_equiv_pos_as_xyz
'x,y,z'
loop_
_atom_site_label
_atom_site_type_symbol
_atom_site_fract_x
_atom_site_fract_y
_atom_site_fract_z
_atom_site_occupancy
Mn1 Mn 0.000 0.000 0.000 1
Mn2 Mn 0.149 0.175 0.491 1
Mn3 Mn 0.503 0.001 0.999 1
V1 V 0.211 0.630 0.490 1
V2 V 0.512 0.484 0.024 1
V3 V 0.681 0.685 0.526 1
Te1 Te 0.694 0.107 0.282 1
Te2 Te 0.998 0.509 0.808 1
O1 O 0.000 0.975 0.393 1
O2 O 0.161 0.182 0.894 1
O3 O 0.169 0.664 0.898 1
O4 O 0.300 0.366 0.592 1
O5 O 0.320 0.844 0.581 1
O6 O 0.333 0.835 0.082 1
O7 O 0.358 0.346 0.108 1
O8 O 0.473 0.527 0.396 1
O9 O 0.521 0.965 0.386 1
O10 O 0.668 0.173 0.916 1
O11 O 0.670 0.667 0.898 1
O12 O 0.795 0.355 0.108 1
O13 O 0.803 0.392 0.603 1
O14 O 0.816 0.873 0.139 1
O15 O 0.818 0.824 0.612 1
O16 O 0.988 0.515 0.410 1
```

No. 2
Below is an optimized crystal structure of ZnCrSi4O10, with properties calculated at the PBE with a Hubbard U level.

Values from the calculation:
space group: P4/ncc

The structure in CIF format:
```
data_ZnCrSi4O10
_cell_length_a 7.345
_cell_length_b 7.345
_cell_length_c 14.942
_cell_angle_alpha 90.00
_cell_angle_beta 90.00
_cell_angle_gamma 90.00
_symmetry_space_group_name_H-M 'P 1'
_symmetry_Int_Tables_number 1
loop_
_symmetry_equiv_pos_as_xyz
'x,y,z'
loop_
_atom_site_label
_atom_site_type_symbol
_atom_site_fract_x
_atom_site_fract_y
_atom_site_fract_z
_atom_site_occupancy
Zn1 Zn 0.250 0.750 0.000 1
Zn2 Zn 0.250 0.750 0.500 1
Zn3 Zn 0.750 0.250 0.000 1
Zn4 Zn 0.750 0.250 0.500 1
Cr1 Cr 0.250 0.250 0.069 1
Cr2 Cr 0.250 0.250 0.569 1
Cr3 Cr 0.750 0.750 0.431 1
Cr4 Cr 0.750 0.750 0.931 1
Si1 Si 0.010 0.592 0.145 1
Si2 Si 0.010 0.908 0.645 1
Si3 Si 0.092 0.510 0.355 1
Si4 Si 0.092 0.990 0.855 1
Si5 Si 0.408 0.510 0.855 1
Si6 Si 0.408 0.990 0.355 1
Si7 Si 0.490 0.592 0.645 1
Si8 Si 0.490 0.908 0.145 1
Si9 Si 0.510 0.092 0.855 1
Si10 Si 0.510 0.408 0.355 1
Si11 Si 0.592 0.010 0.645 1
Si12 Si 0.592 0.490 0.145 1
Si13 Si 0.908 0.010 0.145 1
Si14 Si 0.908 0.490 0.645 1
Si15 Si 0.990 0.092 0.355 1
Si16 Si 0.990 0.408 0.855 1
O1 O 0.003 0.190 0.874 1
O2 O 0.003 0.310 0.374 1
O3 O 0.021 0.664 0.424 1
O4 O 0.021 0.836 0.924 1
O5 O 0.058 0.558 0.250 1
O6 O 0.058 0.942 0.750 1
O7 O 0.164 0.521 0.076 1
O8 O 0.164 0.979 0.576 1
O9 O 0.190 0.003 0.374 1
O10 O 0.190 0.497 0.874 1
O11 O 0.310 0.003 0.874 1
O12 O 0.310 0.497 0.374 1
O13 O 0.336 0.521 0.576 1
O14 O 0.336 0.979 0.076 1
O15 O 0.442 0.558 0.750 1
O16 O 0.442 0.942 0.250 1
O17 O 0.479 0.664 0.924 1
O18 O 0.479 0.836 0.424 1
O19 O 0.497 0.190 0.374 1
O20 O 0.497 0.310 0.874 1
O21 O 0.503 0.690 0.126 1
O22 O 0.503 0.810 0.626 1
O23 O 0.521 0.164 0.576 1
O24 O 0.521 0.336 0.076 1
O25 O 0.558 0.058 0.750 1
O26 O 0.558 0.442 0.250 1
O27 O 0.664 0.021 0.924 1
O28 O 0.664 0.479 0.424 1
O29 O 0.690 0.503 0.626 1
O30 O 0.690 0.997 0.126 1
O31 O 0.810 0.503 0.126 1
O32 O 0.810 0.997 0.626 1
O33 O 0.836 0.021 0.424 1
O34 O 0.836 0.479 0.924 1
O35 O 0.942 0.058 0.250 1
O36 O 0.942 0.442 0.750 1
O37 O 0.979 0.164 0.076 1
O38 O 0.979 0.336 0.576 1
O39 O 0.997 0.690 0.626 1
O40 O 0.997 0.810 0.126 1
```

no.,magnetization (Bohr magnetons per cell),DFT total energy (eV/atom),formation energy from the elements (eV/atom)
1,12.00,-6.89,-1.93
2,16.08,-7.45,-2.87